A relaxed structure of LiFe8O14F2. Source: Materials Project, functional PBE with a Hubbard U.

a b c (Å): 5.0492 5.0662 11.6401
angles (deg): 90.69 89.42 100.09
Positions (direct):
Li (0.7009, 0.2938, 0.2551)
Fe (0.0008, 0.9866, 0.7480)
Fe (0.4172, 0.5695, 0.3801)
Fe (0.0093, 0.9883, 0.0010)
Fe (0.4334, 0.5634, 0.8695)
Fe (0.0235, 0.9714, 0.2502)
Fe (0.0257, 0.0204, 0.5010)
Fe (0.5692, 0.4052, 0.6306)
Fe (0.4364, 0.5632, 0.1204)
O (0.8248, 0.1705, 0.6217)
O (0.1879, 0.8106, 0.1290)
O (0.1765, 0.8194, 0.8745)
O (0.8596, 0.1337, 0.1367)
O (0.1850, 0.8209, 0.3751)
O (0.6882, 0.6795, 0.7496)
O (0.3289, 0.3192, 0.5011)
O (0.1691, 0.8538, 0.6146)
O (0.6674, 0.7064, 0.9964)
O (0.6823, 0.6739, 0.2508)
O (0.2893, 0.3314, 0.9963)
O (0.3041, 0.3074, 0.7532)
O (0.8633, 0.1403, 0.3717)
O (0.3209, 0.3157, 0.2480)
F (0.7050, 0.6852, 0.5003)
F (0.8258, 0.1619, 0.8754)

Computed properties:
Total magnetic moment: 1.40 μB per atom
E_tot: -6.060 eV/atom
Energy relative to the lowest polymorph listed for this composition: 47 meV/atom
SG: P1 (1)


A relaxed structure of Na2MnCoNiO6. Source: Materials Project, functional PBE with a Hubbard U.

a b c (Å): 7.1660 7.1660 6.6399
angles (deg): 68.95 68.95 23.52
Positions (direct):
Ni (0.9988, 0.9988, 0.0057)
O (0.5938, 0.5938, 0.9891)
O (0.0689, 0.0689, 0.6641)
O (0.7427, 0.7427, 0.3214)
O (0.9219, 0.9219, 0.3478)
O (0.2639, 0.2639, 0.6470)
O (0.4025, 0.4025, 0.0226)
Na (0.4513, 0.4513, 0.6117)
Na (0.2099, 0.2099, 0.0607)
Co (0.6614, 0.6614, 0.6604)
Mn (0.3334, 0.3334, 0.3363)

Computed properties:
Total magnetic moment: 0.73 μB per atom
E_tot: -5.582 eV/atom
SG: Cm (8)


A relaxed structure of VOF. Source: Materials Project, functional PBE with a Hubbard U.

a b c (Å): 4.7299 4.7298 6.2289
angles (deg): 90.00 90.00 90.00
Positions (direct):
F (0.7907, 0.2093, 0.7500)
F (0.2093, 0.7907, 0.2500)
F (0.2907, 0.2907, 0.0000)
F (0.7093, 0.7093, 0.5000)
V (0.5301, 0.4699, 0.2500)
V (0.0301, 0.0301, 0.5000)
V (0.4699, 0.5301, 0.7500)
V (0.9699, 0.9699, 0.0000)
O (0.1812, 0.8188, 0.7500)
O (0.3188, 0.3188, 0.5000)
O (0.6812, 0.6812, 0.0000)
O (0.8188, 0.1812, 0.2500)

Computed properties:
Piezoelectric modulus e_max: 0.1 C/m²
E_tot: -7.210 eV/atom
SG: P4_12_12 (92)


A relaxed structure of Fe4SiO9. Source: Materials Project, functional PBE with a Hubbard U.

a b c (Å): 15.4227 15.4227 15.4227
angles (deg): 20.00 20.00 20.00
Positions (direct):
O (0.9765, 0.6315, 0.4078)
O (0.0626, 0.0626, 0.0626)
O (0.2292, 0.2292, 0.2292)
O (0.2764, 0.6117, 0.9159)
O (0.3915, 0.3915, 0.3915)
O (0.4548, 0.0922, 0.7576)
O (0.2012, 0.5436, 0.7712)
O (0.0922, 0.7576, 0.4548)
O (0.5436, 0.7712, 0.2012)
O (0.6315, 0.4078, 0.9765)
O (0.7712, 0.2012, 0.5436)
O (0.7576, 0.4548, 0.0922)
O (0.4078, 0.9765, 0.6315)
O (0.8912, 0.8912, 0.8912)
O (0.5544, 0.5544, 0.5544)
O (0.7211, 0.7211, 0.7211)
O (0.9159, 0.2764, 0.6117)
O (0.6117, 0.9159, 0.2764)
Fe (0.3479, 0.3479, 0.3479)
Fe (0.8474, 0.8474, 0.8474)
Fe (0.5799, 0.2466, 0.9208)
Fe (0.4103, 0.7526, 0.0851)
Fe (0.0851, 0.4103, 0.7526)
Fe (0.7526, 0.0851, 0.4103)
Fe (0.2466, 0.9208, 0.5799)
Fe (0.9208, 0.5799, 0.2466)
Si (0.5167, 0.5167, 0.5167)
Si (0.6834, 0.6834, 0.6834)

Computed properties:
Total magnetic moment: 1.29 μB per atom
E_tot: -6.621 eV/atom
Energy relative to the lowest polymorph listed for this composition: 3 meV/atom
SG: R3 (146)


A relaxed structure of LiCrW2O8. Source: Materials Project, functional PBE with a Hubbard U.

a b c (Å): 5.0219 7.4224 7.4224
angles (deg): 101.53 90.58 90.58
Positions (direct):
Li (0.2500, 0.8379, 0.1621)
Li (0.7500, 0.1621, 0.8379)
O (0.4194, 0.3039, 0.4243)
O (0.9134, 0.2014, 0.5647)
O (0.5569, 0.1953, 0.0975)
O (0.0569, 0.0975, 0.1953)
O (0.5806, 0.6961, 0.5757)
O (0.0806, 0.5757, 0.6961)
O (0.6104, 0.9287, 0.3177)
O (0.8896, 0.6823, 0.0713)
O (0.4134, 0.5647, 0.2014)
O (0.5866, 0.4353, 0.7986)
O (0.0866, 0.7986, 0.4353)
O (0.4431, 0.8047, 0.9025)
O (0.3896, 0.0712, 0.6824)
O (0.1104, 0.3176, 0.9288)
O (0.9194, 0.4243, 0.3039)
O (0.9431, 0.9025, 0.8047)
W (0.2557, 0.8366, 0.6612)
W (0.2443, 0.3388, 0.1634)
W (0.7443, 0.1634, 0.3388)
W (0.7557, 0.6612, 0.8366)
Cr (0.7500, 0.6759, 0.3241)
Cr (0.2500, 0.3241, 0.6758)

Computed properties:
Total magnetic moment: 0.00 μB per atom
E_tot: -7.332 eV/atom
SG: C2/c (15)


A relaxed structure of Li9Mn2Co5O16. Source: Materials Project, functional PBE with a Hubbard U.

a b c (Å): 3.0194 9.9148 9.9660
angles (deg): 77.84 86.98 86.76
Positions (direct):
O (0.0400, 0.1173, 0.5644)
O (0.5269, 0.1151, 0.8193)
O (0.4731, 0.8849, 0.1807)
O (0.9600, 0.8827, 0.4356)
O (0.5017, 0.6143, 0.5838)
O (0.9847, 0.3849, 0.6924)
O (0.0153, 0.6151, 0.3076)
O (0.0350, 0.1154, 0.0652)
O (0.5116, 0.3908, 0.9264)
O (0.4884, 0.6092, 0.0736)
O (0.4983, 0.3857, 0.4162)
O (0.9698, 0.3853, 0.1791)
O (0.0302, 0.6147, 0.8209)
O (0.5304, 0.1144, 0.3188)
O (0.4696, 0.8856, 0.6812)
O (0.9650, 0.8846, 0.9348)
Co (0.0000, 0.5000, 0.0000)
Co (0.5006, 0.4982, 0.7417)
Co (0.5000, 0.0000, 0.0000)
Co (0.5000, 0.0000, 0.5000)
Co (0.4994, 0.5018, 0.2583)
Li (0.0009, 0.7487, 0.1255)
Li (0.4966, 0.7473, 0.8759)
Li (0.5034, 0.2527, 0.1241)
Li (0.4992, 0.2604, 0.6206)
Li (0.9991, 0.2513, 0.8745)
Li (0.9916, 0.7465, 0.6278)
Li (0.0084, 0.2535, 0.3723)
Li (0.0000, 0.5000, 0.5000)
Li (0.5008, 0.7396, 0.3794)
Mn (0.0004, 0.0014, 0.7496)
Mn (0.9996, 0.9986, 0.2504)

Computed properties:
Total magnetic moment: 0.44 μB per atom
E_tot: -5.767 eV/atom
Energy relative to the lowest polymorph listed for this composition: 87 meV/atom
SG: P-1 (2)


Record-wise energy with MP2020 corrections values, in eV/atom: -7.204; -6.489; -8.160; -7.707; -8.696; -6.471